Model i:
Material: KNa3Al4Ge4O16
Method: DFT, PBE
State: optimized geometry

Geometry as POSCAR:
```
KNa3Al4Ge4O16
1.0
10.2834 0.0000 0.0000
0.0000 8.7763 0.0000
-5.0935 0.0000 8.9985
K Na Al Ge O
2 6 8 8 32
Direct
0.0177 0.0000 0.0086 K
0.9823 0.5000 0.9914 K
0.0033 0.0110 0.4513 Na
0.4160 0.9750 0.0162 Na
0.4246 0.5153 0.4495 Na
0.5754 0.0153 0.5505 Na
0.5840 0.4750 0.9838 Na
0.9967 0.5110 0.5487 Na
0.0834 0.8206 0.7635 Al
0.2364 0.8195 0.3293 Al
0.3313 0.3540 0.0970 Al
0.3423 0.2668 0.6682 Al
0.6577 0.7668 0.3318 Al
0.6687 0.8540 0.9030 Al
0.7636 0.3195 0.6707 Al
0.9166 0.3206 0.2365 Al
0.0939 0.1919 0.7648 Ge
0.2481 0.1796 0.3327 Ge
0.3203 0.6513 0.0876 Ge
0.3375 0.7589 0.6785 Ge
0.6625 0.2589 0.3215 Ge
0.6797 0.1513 0.9124 Ge
0.7519 0.6796 0.6673 Ge
0.9061 0.6919 0.2352 Ge
0.0152 0.0091 0.7431 O
0.0449 0.8325 0.2837 O
0.0593 0.1846 0.2884 O
0.1544 0.7960 0.6394 O
0.1716 0.1966 0.6470 O
0.2141 0.7987 0.9522 O
0.2312 0.2207 0.9544 O
0.2634 0.6778 0.2268 O
0.2817 0.3267 0.2359 O
0.2827 0.9987 0.2824 O
0.3021 0.4674 0.6169 O
0.3564 0.7816 0.5211 O
0.3709 0.1969 0.5245 O
0.3891 0.5655 0.7509 O
0.4741 0.8570 0.8356 O
0.4969 0.2376 0.8429 O
0.5031 0.7376 0.1571 O
0.5259 0.3570 0.1644 O
0.6109 0.0655 0.2491 O
0.6291 0.6969 0.4755 O
0.6436 0.2816 0.4789 O
0.6979 0.9674 0.3831 O
0.7173 0.4987 0.7176 O
0.7183 0.8267 0.7641 O
0.7366 0.1778 0.7732 O
0.7688 0.7207 0.0456 O
0.7859 0.2987 0.0478 O
0.8284 0.6966 0.3530 O
0.8456 0.2960 0.3606 O
0.9407 0.6846 0.7116 O
0.9551 0.3325 0.7163 O
0.9848 0.5091 0.2569 O
```

Computed properties:
* calculated volume: 812.12 Å³/cell
* density: 3.118 g/cm³

Model ii:
Material: KNa3Al4Ge4O16
Method: DFT, PBE
State: optimized geometry

Geometry as POSCAR:
```
KNa3Al4Ge4O16
1.0
10.2093 0.0000 0.0000
0.0000 8.6924 0.0000
-5.0324 0.0000 9.0599
K Na Al Ge O
2 6 8 8 32
Direct
0.0119 0.0000 0.0075 K
0.9881 0.5000 0.9925 K
0.0077 0.5031 0.4379 Na
0.4361 0.0026 0.4533 Na
0.4380 0.5029 0.0004 Na
0.5620 0.0029 0.9996 Na
0.5639 0.5026 0.5467 Na
0.9923 0.0031 0.5621 Na
0.0916 0.8153 0.3424 Al
0.2441 0.8124 0.9021 Al
0.3199 0.3208 0.2366 Al
0.3474 0.3110 0.6642 Al
0.6526 0.8110 0.3358 Al
0.6801 0.8208 0.7634 Al
0.7559 0.3124 0.0979 Al
0.9084 0.3153 0.6576 Al
0.0908 0.1893 0.3410 Ge
0.2424 0.1939 0.9004 Ge
0.3205 0.6854 0.2387 Ge
0.3477 0.6964 0.6654 Ge
0.6523 0.1964 0.3346 Ge
0.6795 0.1854 0.7613 Ge
0.7576 0.6939 0.0996 Ge
0.9092 0.6893 0.6590 Ge
0.0190 0.0025 0.3345 O
0.0510 0.1843 0.7699 O
0.0515 0.8200 0.7711 O
0.1667 0.2599 0.5225 O
0.1668 0.7441 0.5242 O
0.2241 0.1770 0.2791 O
0.2249 0.8294 0.2803 O
0.2620 0.3131 0.0461 O
0.2661 0.5033 0.2701 O
0.2656 0.6938 0.0490 O
0.3044 0.0039 0.9601 O
0.3568 0.2782 0.8367 O
0.3588 0.7266 0.8387 O
0.3900 0.5040 0.6498 O
0.4841 0.8072 0.6498 O
0.4848 0.2032 0.6460 O
0.5152 0.7032 0.3540 O
0.5159 0.3072 0.3502 O
0.6100 0.0040 0.3502 O
0.6412 0.2266 0.1613 O
0.6432 0.7782 0.1633 O
0.6956 0.5039 0.0399 O
0.7339 0.0033 0.7299 O
0.7344 0.1938 0.9510 O
0.7380 0.8131 0.9539 O
0.7751 0.3294 0.7197 O
0.7759 0.6770 0.7209 O
0.8332 0.2441 0.4758 O
0.8333 0.7599 0.4775 O
0.9485 0.3200 0.2289 O
0.9490 0.6843 0.2301 O
0.9810 0.5025 0.6655 O
```

Computed properties:
* calculated volume: 804.01 Å³/cell
* density: 3.150 g/cm³

It comes down to model ii, which is 318 meV per atom more stable than the next structure.